Density functional theory data (GGA-PBE) for PdSN3O3 after structural relaxation.

Properties
formation energy	0.797	eV/atom
total magnetization	8.002	μB per cell
E (MP2020)	-171.16	eV/cell
crystal system	monoclinic

Lattice parameters (Å, degrees): 8.4490 7.2597 14.8430 90.00 119.33 90.00
Sites, in units of the cell vectors:
Pd: 0.0390 0.1817 0.4929
Pd: 0.0390 0.3183 0.9929
Pd: 0.9610 0.6817 0.0071
Pd: 0.9610 0.8183 0.5071
S: 0.3436 0.2003 0.8206
S: 0.3436 0.2997 0.3206
S: 0.6564 0.7003 0.6794
S: 0.6564 0.7997 0.1794
N: 0.0689 0.7245 0.9219
N: 0.0689 0.7755 0.4219
N: 0.0772 0.7162 0.6305
N: 0.0772 0.7838 0.1305
N: 0.2761 0.2135 0.5876
N: 0.2761 0.2865 0.0876
N: 0.7239 0.7135 0.9124
N: 0.7239 0.7865 0.4124
N: 0.9228 0.2162 0.8695
N: 0.9228 0.2838 0.3695
N: 0.9311 0.2245 0.5781
N: 0.9311 0.2755 0.0781
O: 0.2118 0.0581 0.8000
O: 0.2118 0.4419 0.3000
O: 0.2997 0.1116 0.3296
O: 0.2997 0.3884 0.8296
O: 0.4800 0.6548 0.6647
O: 0.4800 0.8452 0.1647
O: 0.5200 0.1548 0.8353
O: 0.5200 0.3452 0.3353
O: 0.7003 0.6116 0.1704
O: 0.7003 0.8884 0.6704
O: 0.7882 0.5581 0.7000
O: 0.7882 0.9419 0.2000